The following is a PBE calculation of a geometry-optimized K2DyPCO7 structure, from Materials Project.

Cell lengths 5.841, 7.146, 9.992 Å; angles 90.00, 91.93, 90.00 degrees
Sites, in units of the cell vectors:
K (0.247, 0.011, 0.221)
K (0.247, 0.489, 0.221)
K (0.753, 0.511, 0.779)
K (0.753, 0.989, 0.779)
Dy (0.219, 0.250, 0.632)
Dy (0.781, 0.750, 0.368)
P (0.289, 0.750, 0.569)
P (0.711, 0.250, 0.431)
C (0.271, 0.250, 0.907)
C (0.729, 0.750, 0.093)
O (0.067, 0.250, 0.846)
O (0.152, 0.750, 0.431)
O (0.230, 0.570, 0.648)
O (0.230, 0.930, 0.648)
O (0.302, 0.250, 0.032)
O (0.444, 0.250, 0.823)
O (0.448, 0.250, 0.458)
O (0.552, 0.750, 0.542)
O (0.556, 0.750, 0.177)
O (0.698, 0.750, 0.968)
O (0.770, 0.070, 0.352)
O (0.770, 0.430, 0.352)
O (0.848, 0.250, 0.569)
O (0.933, 0.750, 0.154)

## Properties
DFT total energy (eV per atom): -7.07
Magnetic moment (μB per formula unit): 0.001

The following is a PBE calculation of a geometry-optimized CuH11C5NO6 structure, from Materials Project.

Cell lengths 8.222, 8.222, 8.911 Å; angles 118.04, 118.04, 65.12 degrees
Sites, in units of the cell vectors:
Cu (0.000, 0.500, 0.000)
Cu (0.500, 0.000, 0.500)
H (0.050, 0.820, 0.741)
H (0.111, 0.702, 0.465)
H (0.164, 0.836, 0.250)
H (0.180, 0.950, 0.759)
H (0.228, 0.526, 0.575)
H (0.261, 0.315, 0.728)
H (0.298, 0.889, 0.035)
H (0.315, 0.261, 0.228)
H (0.343, 0.638, 0.912)
H (0.362, 0.657, 0.588)
H (0.474, 0.772, 0.925)
H (0.526, 0.228, 0.075)
H (0.638, 0.343, 0.412)
H (0.657, 0.362, 0.088)
H (0.685, 0.739, 0.772)
H (0.702, 0.111, 0.965)
H (0.739, 0.685, 0.272)
H (0.772, 0.474, 0.425)
H (0.820, 0.050, 0.241)
H (0.836, 0.164, 0.750)
H (0.889, 0.298, 0.535)
H (0.950, 0.180, 0.259)
C (0.179, 0.259, 0.223)
C (0.223, 0.665, 0.583)
C (0.259, 0.179, 0.723)
C (0.289, 0.711, 0.250)
C (0.335, 0.777, 0.917)
C (0.665, 0.223, 0.083)
C (0.711, 0.289, 0.750)
C (0.741, 0.821, 0.277)
C (0.777, 0.335, 0.417)
C (0.821, 0.741, 0.777)
N (0.186, 0.814, 0.750)
N (0.814, 0.186, 0.250)
O (0.023, 0.355, 0.137)
O (0.163, 0.183, 0.802)
O (0.183, 0.163, 0.302)
O (0.262, 0.545, 0.161)
O (0.355, 0.023, 0.637)
O (0.455, 0.738, 0.339)
O (0.545, 0.262, 0.661)
O (0.645, 0.977, 0.363)
O (0.738, 0.455, 0.839)
O (0.817, 0.837, 0.698)
O (0.837, 0.817, 0.198)
O (0.977, 0.645, 0.863)

## Properties
DFT total energy (eV per atom): -5.81
Magnetic moment (μB per formula unit): 0.998

The following is a PBE calculation of a geometry-optimized TmC6O9F9 structure, from Materials Project.

Cell lengths 9.180, 21.200, 9.163 Å; angles 90.00, 106.62, 90.00 degrees
Sites, in units of the cell vectors:
Tm (0.186, 0.049, 0.497)
Tm (0.186, 0.451, 0.997)
Tm (0.814, 0.549, 0.003)
Tm (0.814, 0.951, 0.503)
C (0.127, 0.591, 0.894)
C (0.127, 0.909, 0.394)
C (0.138, 0.541, 0.273)
C (0.138, 0.959, 0.773)
C (0.161, 0.656, 0.828)
C (0.161, 0.844, 0.328)
C (0.211, 0.571, 0.433)
C (0.211, 0.929, 0.933)
C (0.322, 0.161, 0.327)
C (0.322, 0.339, 0.827)
C (0.432, 0.155, 0.225)
C (0.432, 0.345, 0.725)
C (0.568, 0.655, 0.275)
C (0.568, 0.845, 0.775)
C (0.678, 0.661, 0.173)
C (0.678, 0.839, 0.673)
C (0.789, 0.071, 0.067)
C (0.789, 0.429, 0.567)
C (0.839, 0.156, 0.672)
C (0.839, 0.344, 0.172)
C (0.862, 0.041, 0.227)
C (0.862, 0.459, 0.727)
C (0.873, 0.091, 0.606)
C (0.873, 0.409, 0.106)
O (0.002, 0.052, 0.283)
O (0.002, 0.448, 0.783)
O (0.003, 0.588, 0.929)
O (0.003, 0.912, 0.429)
O (0.210, 0.186, 0.681)
O (0.210, 0.314, 0.181)
O (0.221, 0.547, 0.905)
O (0.221, 0.953, 0.405)
O (0.222, 0.508, 0.215)
O (0.222, 0.992, 0.715)
O (0.247, 0.209, 0.324)
O (0.247, 0.291, 0.824)
O (0.296, 0.140, 0.711)
O (0.296, 0.360, 0.211)
O (0.319, 0.110, 0.405)
O (0.319, 0.390, 0.905)
O (0.482, 0.013, 0.553)
O (0.482, 0.487, 0.053)
O (0.518, 0.513, 0.947)
O (0.518, 0.987, 0.447)
O (0.681, 0.610, 0.095)
O (0.681, 0.890, 0.595)
O (0.704, 0.640, 0.789)
O (0.704, 0.860, 0.289)
O (0.753, 0.709, 0.176)
O (0.753, 0.791, 0.676)
O (0.778, 0.008, 0.285)
O (0.778, 0.492, 0.785)
O (0.779, 0.047, 0.595)
O (0.779, 0.453, 0.095)
O (0.790, 0.686, 0.819)
O (0.790, 0.814, 0.319)
O (0.997, 0.088, 0.571)
O (0.997, 0.412, 0.071)
O (0.998, 0.552, 0.217)
O (0.998, 0.948, 0.717)
F (0.059, 0.664, 0.689)
F (0.059, 0.836, 0.189)
F (0.136, 0.548, 0.532)
F (0.136, 0.952, 0.032)
F (0.147, 0.704, 0.920)
F (0.147, 0.796, 0.420)
F (0.194, 0.634, 0.425)
F (0.194, 0.866, 0.925)
F (0.303, 0.657, 0.812)
F (0.303, 0.843, 0.312)
F (0.360, 0.557, 0.490)
F (0.360, 0.943, 0.990)
F (0.367, 0.117, 0.104)
F (0.367, 0.383, 0.604)
F (0.431, 0.629, 0.198)
F (0.431, 0.871, 0.698)
F (0.461, 0.212, 0.170)
F (0.461, 0.288, 0.670)
F (0.539, 0.712, 0.330)
F (0.539, 0.788, 0.830)
F (0.569, 0.129, 0.302)
F (0.569, 0.371, 0.802)
F (0.633, 0.617, 0.396)
F (0.633, 0.883, 0.896)
F (0.640, 0.057, 0.010)
F (0.640, 0.443, 0.510)
F (0.697, 0.157, 0.688)
F (0.697, 0.343, 0.188)
F (0.806, 0.134, 0.075)
F (0.806, 0.366, 0.575)
F (0.853, 0.204, 0.580)
F (0.853, 0.296, 0.080)
F (0.864, 0.048, 0.968)
F (0.864, 0.452, 0.468)
F (0.941, 0.164, 0.811)
F (0.941, 0.336, 0.311)

## Properties
DFT total energy (eV per atom): -6.29
Magnetic moment (μB per formula unit): 1.519

The following is a PBE calculation of a geometry-optimized V3Sn structure, from Materials Project.

Cell lengths 4.965, 4.965, 4.965 Å; angles 90.00, 90.00, 90.00 degrees
Sites, in units of the cell vectors:
V (0.000, 0.250, 0.500)
V (0.000, 0.750, 0.500)
V (0.250, 0.500, 0.000)
V (0.500, 0.000, 0.250)
V (0.500, 0.000, 0.750)
V (0.750, 0.500, 0.000)
Sn (0.000, 0.000, 0.000)
Sn (0.500, 0.500, 0.500)

## Properties
DFT total energy (eV per atom): -7.88

The following is a PBE calculation of a geometry-optimized MgTe2Mo3Se2S2 structure, from Materials Project.

Cell lengths 3.350, 3.350, 37.270 Å; angles 90.09, 90.09, 60.00 degrees
Sites, in units of the cell vectors:
Mg (0.000, 0.000, 0.000)
Te (0.665, 0.665, 0.588)
Te (0.667, 0.667, 0.689)
Mo (0.333, 0.333, 0.107)
Mo (0.333, 0.333, 0.638)
Mo (0.666, 0.666, 0.863)
Se (0.332, 0.332, 0.818)
Se (0.333, 0.333, 0.908)
S (0.666, 0.666, 0.066)
S (0.666, 0.666, 0.148)

## Properties
DFT total energy (eV per atom): -6.03
Magnetic moment (μB per formula unit): 0.000

The following is a PBE calculation of a geometry-optimized Sr2CuClO2 structure, from Materials Project.

Cell lengths 4.037, 4.037, 27.808 Å; angles 90.00, 90.00, 120.00 degrees
Sites, in units of the cell vectors:
Sr (0.013, 0.340, 0.411)
Sr (0.327, 0.987, 0.077)
Sr (0.340, 0.013, 0.589)
Sr (0.660, 0.673, 0.744)
Sr (0.673, 0.660, 0.256)
Sr (0.987, 0.327, 0.923)
Cu (0.000, 0.324, 0.167)
Cu (0.324, 0.000, 0.833)
Cu (0.676, 0.676, 0.500)
Cl (0.000, 0.348, 0.667)
Cl (0.348, 0.000, 0.333)
Cl (0.652, 0.652, 0.000)
O (0.006, 0.326, 0.232)
O (0.320, 0.994, 0.899)
O (0.326, 0.006, 0.768)
O (0.674, 0.680, 0.565)
O (0.680, 0.674, 0.435)
O (0.994, 0.320, 0.101)

## Properties
Piezoelectric modulus e_max (C/m2): 0.00
DFT total energy (eV per atom): -5.38
Magnetic moment (μB per formula unit): 0.000

The following is a PBE calculation of a geometry-optimized NdBiO3 structure, from Materials Project.

Cell lengths 4.436, 4.436, 4.436 Å; angles 90.00, 90.00, 90.00 degrees
Sites, in units of the cell vectors:
Nd (0.000, 0.000, 0.000)
Bi (0.500, 0.500, 0.500)
O (0.000, 0.500, 0.500)
O (0.500, 0.000, 0.500)
O (0.500, 0.500, 0.000)

## Properties
DFT total energy (eV per atom): -6.17
Magnetic moment (μB per formula unit): 0.000

The following is a PBE calculation of a geometry-optimized K6ZnSe4 structure, from Materials Project.

Cell lengths 10.301, 10.301, 7.981 Å; angles 90.00, 90.00, 120.00 degrees
Sites, in units of the cell vectors:
K (0.054, 0.527, 0.000)
K (0.147, 0.294, 0.681)
K (0.147, 0.853, 0.681)
K (0.294, 0.147, 0.181)
K (0.473, 0.527, 0.000)
K (0.473, 0.946, 0.000)
K (0.527, 0.054, 0.500)
K (0.527, 0.473, 0.500)
K (0.706, 0.853, 0.681)
K (0.853, 0.147, 0.181)
K (0.853, 0.706, 0.181)
K (0.946, 0.473, 0.500)
Zn (0.333, 0.667, 0.385)
Zn (0.667, 0.333, 0.885)
Se (0.197, 0.393, 0.285)
Se (0.197, 0.803, 0.285)
Se (0.333, 0.667, 0.705)
Se (0.393, 0.197, 0.785)
Se (0.607, 0.803, 0.285)
Se (0.667, 0.333, 0.205)
Se (0.803, 0.197, 0.785)
Se (0.803, 0.607, 0.785)

## Properties
DFT total energy (eV per atom): -3.07

The following is a PBE calculation of a geometry-optimized AgSbTe16Pb14 structure, from Materials Project.

Cell lengths 14.459, 14.459, 14.459 Å; angles 142.74, 142.74, 53.72 degrees
Sites, in units of the cell vectors:
Ag (0.000, 0.000, 0.000)
Sb (0.500, 0.500, 0.000)
Te (0.000, 0.000, 0.500)
Te (0.000, 0.500, 0.000)
Te (0.116, 0.116, 0.000)
Te (0.125, 0.625, 0.500)
Te (0.257, 0.257, 0.515)
Te (0.257, 0.743, 0.000)
Te (0.375, 0.875, 0.500)
Te (0.380, 0.380, 0.000)
Te (0.500, 0.000, 0.000)
Te (0.500, 0.500, 0.500)
Te (0.620, 0.620, 0.000)
Te (0.625, 0.125, 0.500)
Te (0.743, 0.257, 0.000)
Te (0.743, 0.743, 0.485)
Te (0.875, 0.375, 0.500)
Te (0.884, 0.884, 0.000)
Pb (0.000, 0.500, 0.500)
Pb (0.125, 0.125, 0.499)
Pb (0.125, 0.627, 0.000)
Pb (0.248, 0.248, 0.000)
Pb (0.250, 0.750, 0.500)
Pb (0.373, 0.373, 0.499)
Pb (0.373, 0.875, 0.000)
Pb (0.500, 0.000, 0.500)
Pb (0.627, 0.125, 0.000)
Pb (0.627, 0.627, 0.501)
Pb (0.750, 0.250, 0.500)
Pb (0.752, 0.752, 0.000)
Pb (0.875, 0.373, 0.000)
Pb (0.875, 0.875, 0.501)

## Properties
DFT total energy (eV per atom): -3.76
Magnetic moment (μB per formula unit): 0.004

The following is a PBE calculation of a geometry-optimized MgSi2 structure, from Materials Project.

Cell lengths 5.380, 3.491, 11.038 Å; angles 90.00, 90.00, 90.00 degrees
Sites, in units of the cell vectors:
Mg (0.227, 0.250, 0.068)
Mg (0.273, 0.750, 0.568)
Mg (0.727, 0.250, 0.432)
Mg (0.773, 0.750, 0.932)
Si (0.050, 0.250, 0.750)
Si (0.223, 0.250, 0.367)
Si (0.277, 0.750, 0.867)
Si (0.450, 0.750, 0.250)
Si (0.550, 0.250, 0.750)
Si (0.723, 0.250, 0.133)
Si (0.777, 0.750, 0.633)
Si (0.950, 0.750, 0.250)

## Properties
DFT total energy (eV per atom): -4.02
Magnetic moment (μB per formula unit): 0.006

The following is a PBE calculation of a geometry-optimized NaCa3IrO6 structure, from Materials Project.

Cell lengths 6.567, 6.567, 6.567 Å; angles 90.50, 90.50, 90.50 degrees
Sites, in units of the cell vectors:
Na (0.250, 0.250, 0.250)
Na (0.750, 0.750, 0.750)
Ca (0.105, 0.750, 0.395)
Ca (0.250, 0.605, 0.895)
Ca (0.395, 0.105, 0.750)
Ca (0.605, 0.895, 0.250)
Ca (0.750, 0.395, 0.105)
Ca (0.895, 0.250, 0.605)
Ir (0.000, 0.000, 0.000)
Ir (0.500, 0.500, 0.500)
O (0.058, 0.932, 0.709)
O (0.068, 0.291, 0.942)
O (0.209, 0.432, 0.558)
O (0.291, 0.942, 0.068)
O (0.432, 0.558, 0.209)
O (0.442, 0.791, 0.568)
O (0.558, 0.209, 0.432)
O (0.568, 0.442, 0.791)
O (0.709, 0.058, 0.932)
O (0.791, 0.568, 0.442)
O (0.932, 0.709, 0.058)
O (0.942, 0.068, 0.291)

## Properties
DFT total energy (eV per atom): -6.29
Magnetic moment (μB per formula unit): 2.000

The following is a PBE calculation of a geometry-optimized KLaDyNbO6 structure, from Materials Project.

Cell lengths 5.953, 5.953, 5.953 Å; angles 60.00, 60.00, 60.00 degrees
Sites, in units of the cell vectors:
K (0.000, 0.000, 0.000)
La (0.500, 0.500, 0.500)
Dy (0.250, 0.250, 0.250)
Nb (0.750, 0.750, 0.750)
O (0.512, 0.512, 0.988)
O (0.512, 0.988, 0.512)
O (0.512, 0.988, 0.988)
O (0.988, 0.512, 0.512)
O (0.988, 0.512, 0.988)
O (0.988, 0.988, 0.512)

## Properties
DFT total energy (eV per atom): -7.88
Magnetic moment (μB per formula unit): 0.000

The following is a PBE calculation of a geometry-optimized CuC8S4N4Cl structure, from Materials Project.

Cell lengths 10.032, 10.032, 10.032 Å; angles 94.00, 94.00, 149.36 degrees
Sites, in units of the cell vectors:
Cu (0.000, 0.000, 0.000)
C (0.047, 0.734, 0.192)
C (0.144, 0.953, 0.686)
C (0.149, 0.090, 0.702)
C (0.266, 0.458, 0.314)
C (0.388, 0.446, 0.298)
C (0.542, 0.856, 0.808)
C (0.554, 0.851, 0.942)
C (0.910, 0.612, 0.058)
S (0.114, 0.180, 0.808)
S (0.373, 0.307, 0.192)
S (0.693, 0.886, 0.066)
S (0.820, 0.627, 0.934)
N (0.141, 0.831, 0.684)
N (0.147, 0.457, 0.316)
N (0.169, 0.853, 0.311)
N (0.543, 0.859, 0.689)
Cl (0.250, 0.750, 0.500)

## Properties
DFT total energy (eV per atom): -6.27
Magnetic moment (μB per formula unit): 0.007